! PBE Ti4FeNi, relaxed; values from VASP
! Symmetry: No. 216
! Size of the total moment, μB per formula unit: 0.03
! E_tot, eV/atom: -7.902
&SYSTEM
  ibrav = 0, nat = 24, ntyp = 3
/
ATOMIC_SPECIES
Ti 47.87 Ti.upf
Fe 55.84 Fe.upf
Ni 58.69 Ni.upf
CELL_PARAMETERS angstrom
0.000 5.633 5.633
5.633 0.000 5.633
5.633 5.633 0.000
ATOMIC_POSITIONS angstrom
Ti 2.816 2.816 0.658
Ti 2.816 0.658 2.816
Ti 4.974 2.816 2.816
Ti 7.038 4.227 4.227
Ti 5.633 5.633 2.080
Ti 5.633 2.080 5.633
Ti 9.185 5.633 5.633
Ti 0.658 2.816 2.816
Ti 2.816 4.974 2.816
Ti 2.816 2.816 4.974
Ti 4.227 7.038 4.227
Ti 4.227 4.227 7.038
Ti 7.038 7.038 7.038
Ti 2.080 5.633 5.633
Ti 5.633 9.185 5.633
Ti 5.633 5.633 9.185
Fe 9.443 7.454 7.454
Fe 7.454 9.443 7.454
Fe 7.454 7.454 9.443
Fe 9.443 9.443 9.443
Ni 4.594 4.594 4.594
Ni 6.672 6.672 4.594
Ni 6.672 4.594 6.672
Ni 4.594 6.672 6.672

=====

! PBE NdGeBO5, relaxed; values from VASP
! Symmetry: No. 14
! Size of the total moment, μB per formula unit: 0.00
! E_tot, eV/atom: -7.645
&SYSTEM
  ibrav = 0, nat = 32, ntyp = 4
/
ATOMIC_SPECIES
Nd 144.24 Nd.upf
Ge 72.64 Ge.upf
B 10.81 B.upf
O 16.00 O.upf
CELL_PARAMETERS angstrom
5.010 0.000 0.000
0.000 7.681 0.000
-0.344 0.000 10.138
ATOMIC_POSITIONS angstrom
Nd -0.028 0.830 1.818
Nd -0.200 3.011 6.887
Nd 4.866 4.670 3.251
Nd 4.694 6.851 8.319
Ge 2.163 5.642 5.838
Ge 2.334 5.880 0.769
Ge 2.332 1.801 9.369
Ge 2.504 2.039 4.300
B 2.050 0.739 6.785
B 2.222 3.102 1.716
B 2.445 4.579 8.421
B 2.617 6.942 3.353
O 0.932 4.525 5.349
O 1.104 6.997 0.280
O 1.055 4.633 8.216
O 1.227 6.889 3.148
O 1.217 1.229 8.066
O 1.389 2.611 2.997
O 1.596 4.447 1.521
O 1.424 7.075 6.590
O 1.504 1.646 5.718
O 1.676 2.194 0.649
O 2.991 5.487 9.489
O 3.163 6.035 4.420
O 3.242 0.606 3.548
O 3.070 3.234 8.617
O 3.278 5.070 7.141
O 3.449 6.452 2.072
O 3.439 0.793 6.990
O 3.611 3.048 1.921
O 3.563 0.684 9.858
O 3.735 3.157 4.789

=====

no.,formation enthalpy at 0 K (kJ/mol of formula units)
1,-152
2,-2295